# 1
CePdPt4 | GGA-PBE | relaxed

Structure (POSCAR):
```
CePdPt4
1.0
2.6870 -4.6540 0.0000
2.6870 4.6540 0.0000
0.0000 0.0000 4.4499
Pt Pd Ce
4 1 1
direct
0.6667 0.3333 0.0000
0.8339 0.6679 0.5000
0.3321 0.1661 0.5000
0.8339 0.1661 0.5000
0.0000 0.0000 0.0000
0.3333 0.6667 0.0000
```

Output
Its mass density is 15.3 g cm⁻³. As for the space group: P-6m2, No. 187. The calculation puts the formation enthalpy at 0 K at -0.67 eV/atom. The volume comes out at 111.3 Å³/f.u.



# 2
CeSbPd | GGA-PBE | relaxed

Structure (POSCAR):
```
CeSbPd
1.0
2.5406 2.5988 -3.7011
4.9370 -1.1715 -1.0650
-1.7515 -3.8388 -3.8964
Sb Ce Pd
2 2 2
direct
0.6668 0.6666 0.0041
0.3332 0.3334 0.9959
0.9998 0.0001 0.7410
0.0002 0.9999 0.2590
0.6673 0.6664 0.5013
0.3327 0.3336 0.4987
```

Output
Its mass density is 9.1 g cm⁻³. As for the space group: P-3m1, No. 164. The calculation puts the formation enthalpy at 0 K at -0.58 eV/atom. The volume comes out at 66.9 Å³/f.u.



# 3
CeSbPd | GGA-PBE | relaxed

Structure (POSCAR):
```
CeSbPd
1.0
1.5005 2.6178 3.5807
-1.8021 -4.2474 0.7988
6.9398 -3.0694 -0.6642
Pd Ce Sb
2 2 2
direct
0.6667 0.3333 0.3060
0.3333 0.6667 0.8060
0.0000 0.0000 0.4853
0.0000 0.0000 0.9853
0.6667 0.3333 0.7177
0.3333 0.6667 0.2177
```

Output
Its mass density is 8.5 g cm⁻³. As for the space group: P6_3mc, No. 186. The calculation puts the formation enthalpy at 0 K at -1.00 eV/atom. The volume comes out at 72.3 Å³/f.u.



# 4
CeSbPd | GGA-PBE | relaxed

Structure (POSCAR):
```
CeSbPd
1.0
0.6240 4.4409 1.1035
-4.1820 -1.5007 -1.2599
-1.6928 -1.6453 7.5789
Pd Ce Sb
2 2 2
direct
0.6667 0.3333 0.7500
0.3333 0.6667 0.2500
0.0000 0.0000 0.5000
0.0000 0.0000 0.0000
0.6667 0.3333 0.2500
0.3333 0.6667 0.7500
```

Output
Its mass density is 8.3 g cm⁻³. As for the space group: P6_3/mmc, No. 194. The calculation puts the formation enthalpy at 0 K at -1.00 eV/atom. The volume comes out at 73.3 Å³/f.u.



no.,final energy (eV for the cell shown)
1,-39.426
2,-33.983
3,-36.469
4,-36.459